No. 1
Entry from Materials Project: LaSmI4 after structural relaxation (PBE).

symmetry	C2/c (15)
M_tot	0.15	μB per atom
ΔE_f	-1486	meV/atom
VASP energy	-3.859	eV/atom
energy with MP2020 corrections	-4.11	eV/atom

Geometry as POSCAR:
```
LaSmI4
1.0
-8.2254 -0.1141 -3.5466
2.9414 -8.3783 1.1831
-4.9575 -4.2231 4.3254
La Sm I
2 2 8
Direct
0.4866 0.5134 0.2500 La
0.5134 0.4866 0.7500 La
0.8688 0.1312 0.7500 Sm
0.1312 0.8688 0.2500 Sm
0.5539 0.1801 0.0977 I
0.7537 0.8737 0.2552 I
0.2463 0.1263 0.7448 I
0.8199 0.4461 0.4023 I
0.1801 0.5539 0.5977 I
0.1263 0.2463 0.2448 I
0.8737 0.7537 0.7552 I
0.4461 0.8199 0.9023 I
```

---

No. 2
Entry from Materials Project: CsHF2 after structural relaxation (PBE).

symmetry	I4/mcm (140)
ΔE_f	-2482	meV/atom
VASP energy	-4.281	eV/atom
energy with MP2020 corrections	-4.51	eV/atom

Geometry as POSCAR:
```
CsHF2
1.0
-3.1196 3.1196 3.9641
3.1196 -3.1196 3.9641
3.1196 3.1196 -3.9641
Cs H F
2 2 4
Direct
0.2500 0.2500 0.0000 Cs
0.7500 0.7500 0.0000 Cs
0.0000 0.5000 0.5000 H
0.5000 0.0000 0.5000 H
0.8692 0.3692 0.2385 F
0.3692 0.1308 0.5000 F
0.1308 0.6308 0.7615 F
0.6308 0.8692 0.5000 F
```

---

No. 3
Entry from Materials Project: La2TaCl3O4 after structural relaxation (PBE).

symmetry	Pmmn (59)
M_tot	0.00	μB per atom
ΔE_f	-3188	meV/atom
VASP energy	-7.620	eV/atom
energy with MP2020 corrections	-7.89	eV/atom

Geometry as POSCAR:
```
La2TaCl3O4
1.0
-0.3897 -2.0520 -3.3792
9.5254 -11.1902 5.6965
-14.4456 -8.7451 6.9765
La Ta Cl O
12 6 18 24
Direct
0.5000 0.6747 0.6145 La
0.5000 0.1501 0.9008 La
0.0000 0.8253 0.3855 La
0.5000 0.8499 0.9008 La
0.5000 0.3253 0.6145 La
0.0000 0.0000 0.1339 La
0.0000 0.1747 0.3855 La
0.5000 0.5000 0.3450 La
0.0000 0.6501 0.0992 La
0.5000 0.5000 0.8661 La
0.0000 0.3499 0.0992 La
0.0000 0.0000 0.6550 La
0.0000 0.5000 0.5168 Ta
0.5000 0.8069 0.2030 Ta
0.5000 0.1931 0.2030 Ta
0.0000 0.6931 0.7970 Ta
0.0000 0.3069 0.7970 Ta
0.5000 0.0000 0.4832 Ta
0.5000 0.6674 0.9734 Cl
0.0000 0.8326 0.0266 Cl
0.0000 0.0000 0.8558 Cl
0.5000 0.3326 0.9734 Cl
0.0000 0.5000 0.9974 Cl
0.5000 0.5000 0.1442 Cl
0.0000 0.1674 0.0266 Cl
0.5000 0.1138 0.7274 Cl
0.0000 0.3862 0.2726 Cl
0.5000 0.8862 0.7274 Cl
0.5000 0.5000 0.7006 Cl
0.0000 0.1876 0.5621 Cl
0.5000 0.6876 0.4379 Cl
0.5000 0.0000 0.0026 Cl
0.0000 0.0000 0.2994 Cl
0.5000 0.3124 0.4379 Cl
0.0000 0.8124 0.5621 Cl
0.0000 0.6138 0.2726 Cl
0.0000 0.4151 0.8397 O
0.5000 0.5000 0.5103 O
0.0000 0.3075 0.6943 O
0.5000 0.0849 0.1603 O
0.0000 0.5849 0.8397 O
0.0000 0.2009 0.1983 O
0.0000 0.7950 0.8589 O
0.5000 0.0000 0.5893 O
0.5000 0.7050 0.1411 O
0.5000 0.7009 0.8017 O
0.0000 0.2050 0.8589 O
0.0000 0.6925 0.6943 O
0.0000 0.6026 0.5699 O
0.5000 0.9151 0.1603 O
0.0000 0.0000 0.4897 O
0.5000 0.1026 0.4301 O
0.0000 0.5000 0.4107 O
0.5000 0.8974 0.4301 O
0.0000 0.3974 0.5699 O
0.5000 0.2991 0.8017 O
0.5000 0.8075 0.3057 O
0.5000 0.1925 0.3057 O
0.0000 0.7991 0.1983 O
0.5000 0.2950 0.1411 O
```

---

No. 4
Entry from Materials Project: Dy2OsPd after structural relaxation (PBE).

symmetry	Fm-3m (225)
M_tot	0.00	μB per atom
ΔE_f	-550	meV/atom
VASP energy	-6.955	eV/atom

Geometry as POSCAR:
```
Dy2OsPd
1.0
-2.0169 -3.0025 -3.2794
-4.8559 -0.1973 -0.4673
-2.1449 1.8266 -3.9875
Dy Os Pd
2 1 1
Direct
0.7500 0.7500 0.7500 Dy
0.2500 0.2500 0.2500 Dy
0.5000 0.5000 0.5000 Os
0.0000 0.0000 0.0000 Pd
```